1.
Entry from Materials Project: BiO2 after structural relaxation (PBE-GGA). Values from VASP.

Structure (Quantum ESPRESSO input):
```
&SYSTEM
  ibrav = 0, nat = 12, ntyp = 2
/
ATOMIC_SPECIES
Bi 208.98 Bi.upf
O 16.00 O.upf
ATOMIC_POSITIONS crystal
Bi 0.1506 0.6626 0.8132
Bi 0.3374 0.1506 0.4879
Bi 0.6626 0.8494 0.5121
Bi 0.8494 0.3374 0.1868
O 0.0399 0.3349 0.3748
O 0.2819 0.3379 0.6198
O 0.3349 0.9601 0.2949
O 0.3379 0.7181 0.0561
O 0.6621 0.2819 0.9439
O 0.6651 0.0399 0.7051
O 0.7181 0.6621 0.3802
O 0.9601 0.6651 0.6252
CELL_PARAMETERS angstrom
-5.8545 5.8545 1.7858
5.8545 -5.8545 1.7858
5.8545 5.8545 -1.7858
```

Properties
- Crystal system: tetragonal
- Polymorph energy (0 for the lowest one): 0.27 eV per formula unit
- Space-group type: I4/m (87)



2.
Entry from Materials Project: Bi2O3 after structural relaxation (PBE-GGA). Values from VASP.

Structure (Quantum ESPRESSO input):
```
&SYSTEM
  ibrav = 0, nat = 10, ntyp = 2
/
ATOMIC_SPECIES
Bi 208.98 Bi.upf
O 16.00 O.upf
ATOMIC_POSITIONS crystal
Bi 0.2367 0.2367 0.0000
Bi 0.2367 0.7633 0.5000
Bi 0.7633 0.2367 0.5000
Bi 0.7633 0.7633 0.0000
O 0.0000 0.0000 0.2500
O 0.0000 0.0000 0.7500
O 0.0000 0.5000 0.2500
O 0.0000 0.5000 0.7500
O 0.5000 0.0000 0.2500
O 0.5000 0.0000 0.7500
CELL_PARAMETERS angstrom
5.5105 0.0000 0.0000
0.0000 5.5105 0.0000
0.0000 0.0000 5.7171
```

Properties
- E: -56.09 eV/cell
- Crystal system: tetragonal
- Space-group type: P4_2/mcm (132)



3.
Entry from Materials Project: BiO2 after structural relaxation (PBE-GGA). Values from VASP.

Structure (Quantum ESPRESSO input):
```
&SYSTEM
  ibrav = 0, nat = 12, ntyp = 2
/
ATOMIC_SPECIES
Bi 208.98 Bi.upf
O 16.00 O.upf
ATOMIC_POSITIONS crystal
Bi 0.0000 0.0000 0.0000
Bi 0.0000 0.5000 0.5000
Bi 0.5000 0.0000 0.5000
Bi 0.5000 0.5000 0.0000
O 0.2500 0.2500 0.2500
O 0.2500 0.2500 0.7500
O 0.2500 0.7500 0.2500
O 0.2500 0.7500 0.7500
O 0.7500 0.2500 0.2500
O 0.7500 0.2500 0.7500
O 0.7500 0.7500 0.2500
O 0.7500 0.7500 0.7500
CELL_PARAMETERS angstrom
5.5114 0.0000 0.0000
0.0000 5.5114 0.0000
0.0000 0.0000 5.5114
```

Properties
- Crystal system: cubic
- Polymorph energy (0 for the lowest one): 0.31 eV per formula unit
- Space-group type: Fm-3m (225)



4.
Entry from Materials Project: Bi2O3 after structural relaxation (PBE-GGA). Values from VASP.

Structure (Quantum ESPRESSO input):
```
&SYSTEM
  ibrav = 0, nat = 20, ntyp = 2
/
ATOMIC_SPECIES
Bi 208.98 Bi.upf
O 16.00 O.upf
ATOMIC_POSITIONS crystal
Bi 0.1024 0.8976 0.6443
Bi 0.1024 0.8976 0.8557
Bi 0.3689 0.6311 0.5440
Bi 0.3689 0.6311 0.9560
Bi 0.6311 0.3689 0.0440
Bi 0.6311 0.3689 0.4560
Bi 0.8976 0.1024 0.1443
Bi 0.8976 0.1024 0.3557
O 0.0000 0.0000 0.0000
O 0.0000 0.0000 0.5000
O 0.1400 0.8600 0.7500
O 0.2546 0.7454 0.0723
O 0.2546 0.7454 0.4277
O 0.4842 0.5158 0.6404
O 0.4842 0.5158 0.8596
O 0.5158 0.4842 0.1404
O 0.5158 0.4842 0.3596
O 0.7454 0.2546 0.5723
O 0.7454 0.2546 0.9277
O 0.8600 0.1400 0.2500
CELL_PARAMETERS angstrom
1.7754 -5.8892 0.0000
1.7754 5.8892 0.0000
0.0000 0.0000 19.3622
```

Properties
- E: -111.50 eV/cell
- Crystal system: orthorhombic
- Space-group type: Cmcm (63)



5.
Entry from Materials Project: Bi2O3 after structural relaxation (PBE-GGA). Values from VASP.

Structure (Quantum ESPRESSO input):
```
&SYSTEM
  ibrav = 0, nat = 20, ntyp = 2
/
ATOMIC_SPECIES
Bi 208.98 Bi.upf
O 16.00 O.upf
ATOMIC_POSITIONS crystal
Bi 0.2329 0.7557 0.7557
Bi 0.2443 0.2443 0.2443
Bi 0.2443 0.2443 0.7671
Bi 0.2443 0.7671 0.2443
Bi 0.7557 0.2329 0.7557
Bi 0.7557 0.7557 0.2329
Bi 0.7557 0.7557 0.7557
Bi 0.7671 0.2443 0.2443
O 0.0741 0.0741 0.6759
O 0.0741 0.6759 0.0741
O 0.0741 0.6759 0.6759
O 0.3241 0.3241 0.9259
O 0.3241 0.9259 0.3241
O 0.3241 0.9259 0.9259
O 0.6759 0.0741 0.0741
O 0.6759 0.0741 0.6759
O 0.6759 0.6759 0.0741
O 0.9259 0.3241 0.3241
O 0.9259 0.3241 0.9259
O 0.9259 0.9259 0.3241
CELL_PARAMETERS angstrom
0.0000 5.7505 5.7505
5.7505 0.0000 5.7505
5.7505 5.7505 0.0000
```

Properties
- E: -113.65 eV/cell
- Crystal system: cubic
- Space-group type: Fd-3m (227)



6.
Entry from Materials Project: Bi3O5 after structural relaxation (PBE-GGA). Values from VASP.

Structure (Quantum ESPRESSO input):
```
&SYSTEM
  ibrav = 0, nat = 16, ntyp = 2
/
ATOMIC_SPECIES
Bi 208.98 Bi.upf
O 16.00 O.upf
ATOMIC_POSITIONS crystal
Bi 0.0000 0.0000 0.0000
Bi 0.0000 0.0000 0.5000
Bi 0.3115 0.3191 0.6583
Bi 0.3191 0.3115 0.1583
Bi 0.6809 0.6885 0.8417
Bi 0.6885 0.6809 0.3417
O 0.0794 0.6056 0.4514
O 0.0888 0.5862 0.8886
O 0.1089 0.8911 0.2500
O 0.3944 0.9206 0.0486
O 0.4138 0.9112 0.6114
O 0.5862 0.0888 0.3886
O 0.6056 0.0794 0.9514
O 0.8911 0.1089 0.7500
O 0.9112 0.4138 0.1114
O 0.9206 0.3944 0.5486
CELL_PARAMETERS angstrom
6.0901 -2.8638 0.0000
6.0901 2.8638 0.0000
-2.9558 0.0000 7.7651
```

Properties
- E: -90.47 eV/cell
- Crystal system: monoclinic
- Space-group type: C2/c (15)



7.
Entry from Materials Project: Bi16O25 after structural relaxation (PBE-GGA). Values from VASP.

Structure (Quantum ESPRESSO input):
```
&SYSTEM
  ibrav = 0, nat = 41, ntyp = 2
/
ATOMIC_SPECIES
Bi 208.98 Bi.upf
O 16.00 O.upf
ATOMIC_POSITIONS crystal
Bi 0.0031 0.5030 0.2399
Bi 0.0051 0.7534 0.0000
Bi 0.2368 0.9969 0.4998
Bi 0.2466 0.2466 0.2517
Bi 0.2558 0.5169 0.0000
Bi 0.2630 0.7632 0.7601
Bi 0.4831 0.4831 0.7389
Bi 0.4970 0.7370 0.5002
Bi 0.5030 0.0031 0.2399
Bi 0.5169 0.2558 0.0000
Bi 0.7370 0.4970 0.5002
Bi 0.7442 0.7442 0.2611
Bi 0.7534 0.0051 0.0000
Bi 0.7632 0.2630 0.7601
Bi 0.9949 0.9949 0.7483
Bi 0.9969 0.2368 0.4998
O 0.0000 0.2980 0.2980
O 0.0000 0.7020 0.7020
O 0.0338 0.5449 0.0000
O 0.0478 0.2538 0.7996
O 0.2038 0.2038 0.4948
O 0.2080 0.5000 0.7080
O 0.2482 0.4542 0.2004
O 0.2538 0.0478 0.7996
O 0.2911 0.7962 0.0000
O 0.2980 0.0000 0.2980
O 0.4542 0.2482 0.2004
O 0.4551 0.4551 0.4888
O 0.5000 0.2080 0.7080
O 0.5000 0.5000 0.0000
O 0.5000 0.7920 0.2920
O 0.5449 0.0338 0.0000
O 0.5458 0.7462 0.7940
O 0.7020 0.0000 0.7020
O 0.7089 0.7089 0.5052
O 0.7462 0.5458 0.7940
O 0.7518 0.9522 0.2060
O 0.7920 0.5000 0.2920
O 0.7962 0.2911 0.0000
O 0.9522 0.7518 0.2060
O 0.9662 0.9662 0.5112
CELL_PARAMETERS angstrom
-5.5661 5.5661 5.6196
5.5661 -5.5661 5.6196
5.5661 5.5661 -5.6196
```

Properties
- E: -233.25 eV/cell
- Crystal system: tetragonal
- Space-group type: I-42m (121)



8.
Entry from Materials Project: Bi2Os2O7 after structural relaxation (PBE-GGA). Values from VASP.

Structure (Quantum ESPRESSO input):
```
&SYSTEM
  ibrav = 0, nat = 22, ntyp = 3
/
ATOMIC_SPECIES
Bi 208.98 Bi.upf
Os 190.23 Os.upf
O 16.00 O.upf
ATOMIC_POSITIONS crystal
Bi 0.0000 0.0000 0.0000
Bi 0.0000 0.0000 0.5000
Bi 0.0000 0.5000 0.0000
Bi 0.5000 0.0000 0.0000
Os 0.0000 0.5000 0.5000
Os 0.5000 0.0000 0.5000
Os 0.5000 0.5000 0.0000
Os 0.5000 0.5000 0.5000
O 0.1250 0.1250 0.1250
O 0.1730 0.1730 0.5770
O 0.1730 0.5770 0.1730
O 0.1730 0.5770 0.5770
O 0.4230 0.4230 0.8270
O 0.4230 0.8270 0.4230
O 0.4230 0.8270 0.8270
O 0.5770 0.1730 0.1730
O 0.5770 0.1730 0.5770
O 0.5770 0.5770 0.1730
O 0.8270 0.4230 0.4230
O 0.8270 0.4230 0.8270
O 0.8270 0.8270 0.4230
O 0.8750 0.8750 0.8750
CELL_PARAMETERS angstrom
0.0000 5.2272 5.2272
5.2272 0.0000 5.2272
5.2272 5.2272 0.0000
```

Properties
- E: -152.83 eV/cell
- Crystal system: cubic
- Space-group type: Fd-3m (227)



9.
Entry from Materials Project: BiP2O7 after structural relaxation (PBE-GGA). Values from VASP.

Structure (Quantum ESPRESSO input):
```
&SYSTEM
  ibrav = 0, nat = 20, ntyp = 3
/
ATOMIC_SPECIES
Bi 208.98 Bi.upf
P 30.97 P.upf
O 16.00 O.upf
ATOMIC_POSITIONS crystal
Bi 0.1715 0.1022 0.2703
Bi 0.8285 0.8978 0.7297
P 0.1140 0.6616 0.1545
P 0.3410 0.7818 0.7649
P 0.6590 0.2182 0.2351
P 0.8860 0.3384 0.8455
O 0.0794 0.2362 0.9540
O 0.1096 0.4283 0.2799
O 0.1624 0.9197 0.6405
O 0.1801 0.7749 0.2772
O 0.2722 0.6787 0.9875
O 0.4192 0.6132 0.6979
O 0.4993 0.9231 0.7623
O 0.5007 0.0769 0.2377
O 0.5808 0.3868 0.3021
O 0.7278 0.3213 0.0125
O 0.8199 0.2251 0.7228
O 0.8376 0.0803 0.3595
O 0.8904 0.5717 0.7201
O 0.9206 0.7638 0.0460
CELL_PARAMETERS angstrom
6.9879 0.0000 0.0000
0.6367 6.9756 0.0000
0.1461 2.9928 6.7747
```

Properties
- Crystal system: triclinic
- Polymorph energy (0 for the lowest one): 0.63 eV per formula unit
- Space-group type: P-1 (2)



10.
Entry from Materials Project: BiP2O7 after structural relaxation (PBE-GGA). Values from VASP.

Structure (Quantum ESPRESSO input):
```
&SYSTEM
  ibrav = 0, nat = 40, ntyp = 3
/
ATOMIC_SPECIES
Bi 208.98 Bi.upf
P 30.97 P.upf
O 16.00 O.upf
ATOMIC_POSITIONS crystal
Bi 0.1151 0.6182 0.8612
Bi 0.3818 0.8849 0.6388
Bi 0.6182 0.1151 0.3612
Bi 0.8849 0.3818 0.1388
P 0.0935 0.1683 0.9292
P 0.1683 0.0935 0.4292
P 0.2573 0.3948 0.6309
P 0.3948 0.2573 0.1309
P 0.6052 0.7427 0.8691
P 0.7427 0.6052 0.3691
P 0.8317 0.9065 0.5708
P 0.9065 0.8317 0.0708
O 0.0415 0.9595 0.6403
O 0.0405 0.9585 0.8597
O 0.0875 0.7138 0.0269
O 0.0993 0.5156 0.6904
O 0.1174 0.2807 0.5224
O 0.1737 0.2900 0.8730
O 0.2298 0.4011 0.1788
O 0.2807 0.1174 0.0224
O 0.2862 0.9125 0.4731
O 0.2900 0.1737 0.3730
O 0.3863 0.5346 0.6091
O 0.4011 0.2298 0.6788
O 0.4654 0.6137 0.8909
O 0.4844 0.9007 0.8096
O 0.5156 0.0993 0.1904
O 0.5346 0.3863 0.1091
O 0.5989 0.7702 0.3212
O 0.6137 0.4654 0.3909
O 0.7100 0.8263 0.6270
O 0.7138 0.0875 0.5269
O 0.7193 0.8826 0.9776
O 0.7702 0.5989 0.8212
O 0.8263 0.7100 0.1270
O 0.8826 0.7193 0.4776
O 0.9007 0.4844 0.3096
O 0.9125 0.2862 0.9731
O 0.9595 0.0415 0.1403
O 0.9585 0.0405 0.3597
CELL_PARAMETERS angstrom
5.2073 -4.3917 0.0000
5.2073 4.3917 0.0000
-5.0773 0.0000 13.1061
```

Properties
- Crystal system: monoclinic
- Polymorph energy (0 for the lowest one): 0.08 eV per formula unit
- Space-group type: C2/c (15)



11.
Entry from Materials Project: BiP5O14 after structural relaxation (PBE-GGA). Values from VASP.

Structure (Quantum ESPRESSO input):
```
&SYSTEM
  ibrav = 0, nat = 80, ntyp = 3
/
ATOMIC_SPECIES
Bi 208.98 Bi.upf
P 30.97 P.upf
O 16.00 O.upf
ATOMIC_POSITIONS crystal
Bi 0.0248 0.2500 0.0650
Bi 0.4752 0.7500 0.5650
Bi 0.5248 0.2500 0.4350
Bi 0.9752 0.7500 0.9350
P 0.0057 0.5842 0.2975
P 0.0057 0.9158 0.2975
P 0.0671 0.7500 0.5054
P 0.2447 0.5633 0.7728
P 0.2447 0.9367 0.7728
P 0.2553 0.0633 0.2728
P 0.2553 0.4367 0.2728
P 0.4329 0.2500 0.0054
P 0.4943 0.0842 0.7975
P 0.4943 0.4158 0.7975
P 0.5057 0.5842 0.2025
P 0.5057 0.9158 0.2025
P 0.5671 0.7500 0.9946
P 0.7447 0.5633 0.7272
P 0.7447 0.9367 0.7272
P 0.7553 0.0633 0.2272
P 0.7553 0.4367 0.2272
P 0.9329 0.2500 0.4946
P 0.9943 0.0842 0.7025
P 0.9943 0.4158 0.7025
O 0.0053 0.6353 0.1558
O 0.0053 0.8647 0.1558
O 0.0265 0.1544 0.5669
O 0.0265 0.3456 0.5669
O 0.0309 0.7500 0.6619
O 0.1187 0.5008 0.6794
O 0.1187 0.9992 0.6794
O 0.1580 0.1132 0.1614
O 0.1580 0.3868 0.1614
O 0.1593 0.5305 0.3438
O 0.1593 0.9695 0.3438
O 0.1737 0.6208 0.8935
O 0.1737 0.8792 0.8935
O 0.2249 0.7500 0.4472
O 0.2751 0.2500 0.9472
O 0.3263 0.1208 0.3935
O 0.3263 0.3792 0.3935
O 0.3407 0.0305 0.8438
O 0.3407 0.4695 0.8438
O 0.3420 0.6132 0.6614
O 0.3420 0.8868 0.6614
O 0.3813 0.0008 0.1794
O 0.3813 0.4992 0.1794
O 0.4691 0.2500 0.1619
O 0.4735 0.6544 0.0669
O 0.4735 0.8456 0.0669
O 0.4947 0.1353 0.6558
O 0.4947 0.3647 0.6558
O 0.5053 0.6353 0.3442
O 0.5053 0.8647 0.3442
O 0.5265 0.1544 0.9331
O 0.5265 0.3456 0.9331
O 0.5309 0.7500 0.8381
O 0.6187 0.5008 0.8206
O 0.6187 0.9992 0.8206
O 0.6580 0.1132 0.3386
O 0.6580 0.3868 0.3386
O 0.6593 0.5305 0.1562
O 0.6593 0.9695 0.1562
O 0.6737 0.6208 0.6065
O 0.6737 0.8792 0.6065
O 0.7249 0.7500 0.0528
O 0.7751 0.2500 0.5528
O 0.8263 0.1208 0.1065
O 0.8263 0.3792 0.1065
O 0.8407 0.0305 0.6562
O 0.8407 0.4695 0.6562
O 0.8420 0.6132 0.8386
O 0.8420 0.8868 0.8386
O 0.8813 0.0008 0.3206
O 0.8813 0.4992 0.3206
O 0.9691 0.2500 0.3381
O 0.9735 0.6544 0.4331
O 0.9735 0.8456 0.4331
O 0.9947 0.1353 0.8442
O 0.9947 0.3647 0.8442
CELL_PARAMETERS angstrom
8.8583 0.0000 0.0000
0.0000 13.0832 0.0000
0.0000 0.0000 9.2545
```

Properties
- E: -561.48 eV/cell
- Crystal system: orthorhombic
- Space-group type: Pnma (62)



12.
Entry from Materials Project: Bi3P2O10 after structural relaxation (PBE-GGA). Values from VASP.

Structure (Quantum ESPRESSO input):
```
&SYSTEM
  ibrav = 0, nat = 15, ntyp = 3
/
ATOMIC_SPECIES
Bi 208.98 Bi.upf
P 30.97 P.upf
O 16.00 O.upf
ATOMIC_POSITIONS crystal
Bi 0.0000 0.0000 0.0000
Bi 0.2463 0.5923 0.6833
Bi 0.5829 0.8256 0.2543
P 0.2310 0.0581 0.5874
P 0.5972 0.3911 0.3429
O 0.0388 0.0293 0.3544
O 0.0673 0.9129 0.6630
O 0.1769 0.7306 0.9920
O 0.3009 0.2921 0.7443
O 0.3630 0.4883 0.3691
O 0.4740 0.9745 0.5845
O 0.4844 0.1479 0.2025
O 0.6420 0.7735 0.9429
O 0.7175 0.5068 0.2258
O 0.8081 0.4213 0.5639
CELL_PARAMETERS angstrom
5.5659 0.0000 0.0000
-0.7859 6.7484 0.0000
-2.3285 -2.4782 6.1925
```

Properties
- Crystal system: triclinic
- Polymorph energy (0 for the lowest one): 0.31 eV per formula unit
- Space-group type: P1 (1)



13.
Entry from Materials Project: BiP2O7 after structural relaxation (PBE-GGA). Values from VASP.

Structure (Quantum ESPRESSO input):
```
&SYSTEM
  ibrav = 0, nat = 40, ntyp = 3
/
ATOMIC_SPECIES
Bi 208.98 Bi.upf
P 30.97 P.upf
O 16.00 O.upf
ATOMIC_POSITIONS crystal
Bi 0.2362 0.2360 0.4727
Bi 0.2362 0.2640 0.9727
Bi 0.7638 0.7360 0.0273
Bi 0.7638 0.7640 0.5273
P 0.1877 0.7252 0.6174
P 0.1877 0.7748 0.1174
P 0.3191 0.7488 0.3499
P 0.3191 0.7512 0.8499
P 0.6809 0.2488 0.1501
P 0.6809 0.2512 0.6501
P 0.8123 0.2252 0.8826
P 0.8123 0.2748 0.3826
O 0.0315 0.6744 0.1124
O 0.0315 0.8256 0.6124
O 0.1817 0.0506 0.0954
O 0.1817 0.4494 0.5954
O 0.2125 0.5406 0.3560
O 0.2125 0.9594 0.8560
O 0.2438 0.0023 0.3444
O 0.2438 0.4977 0.8444
O 0.2503 0.6389 0.0486
O 0.2503 0.8611 0.5486
O 0.3232 0.7253 0.2369
O 0.3232 0.7747 0.7369
O 0.4910 0.7245 0.4338
O 0.4910 0.7755 0.9338
O 0.5090 0.2245 0.0662
O 0.5090 0.2755 0.5662
O 0.6768 0.2253 0.2631
O 0.6768 0.2747 0.7631
O 0.7497 0.1389 0.4514
O 0.7497 0.3611 0.9514
O 0.7562 0.5023 0.1556
O 0.7562 0.9977 0.6556
O 0.7875 0.0406 0.1440
O 0.7875 0.4594 0.6440
O 0.8183 0.5506 0.4046
O 0.8183 0.9494 0.9046
O 0.9685 0.1744 0.3876
O 0.9685 0.3256 0.8876
CELL_PARAMETERS angstrom
9.3332 0.0000 0.0000
0.0000 5.4676 0.0000
-6.3091 0.0000 12.6807
```

Properties
- Crystal system: monoclinic
- Polymorph energy (0 for the lowest one): 0.08 eV per formula unit
- Space-group type: P2_1/c (14)